Record 1
First-principles (r2SCAN) data for crystalline CsSmS2 at its relaxed geometry, as listed in the Materials Project database.

a = 8.4554 Å, b = 8.4554 Å, c = 8.4554 Å
α = 28.57°, β = 28.57°, γ = 28.57°
With the nearest neighbours (Å) after each atom.
Fractional coordinates of all 4 atoms:
Cs1 0.0000 0.0000 0.0000  6 S 3.51
Sm1 0.5000 0.5000 0.5000  6 S 2.84
S1 0.2283 0.2283 0.2283  3 Sm 2.84
S2 0.7717 0.7717 0.7717  3 Sm 2.84

Output
The total magnetization comes out at 0.000 μB per atom. Its crystal system is trigonal. Its symmetry is R-3m.

---

Record 2
First-principles (r2SCAN) data for crystalline Cs2SnS14 at its relaxed geometry, as listed in the Materials Project database.

a = 7.1282 Å, b = 18.8431 Å, c = 15.5711 Å
α = 90.00°, β = 107.72°, γ = 90.00°
With the nearest neighbours (Å) after each atom.
Fractional coordinates of all 68 atoms:
Cs1 0.0553 0.2007 0.4776  8 S 3.61-3.96
Cs2 0.0553 0.2993 0.9776  8 S 3.61-3.96
Cs3 0.2960 0.5486 0.6657  11 S 3.61-3.97
Cs4 0.2960 0.9514 0.1657  11 S 3.61-3.97
Cs5 0.7040 0.0486 0.8343  11 S 3.61-3.97
Cs6 0.7040 0.4514 0.3343  11 S 3.61-3.97
Cs7 0.9447 0.7007 0.0224  8 S 3.61-3.96
Cs8 0.9447 0.7993 0.5224  8 S 3.61-3.96
Sn1 0.3650 0.6754 0.3310  6 S 2.60-2.62
Sn2 0.3650 0.8246 0.8310  6 S 2.60-2.62
Sn3 0.6350 0.1754 0.1690  6 S 2.60-2.62
Sn4 0.6350 0.3246 0.6690  6 S 2.60-2.62
S1 0.0021 0.2180 0.2270  1 S 2.05
S2 0.0021 0.2820 0.7270  1 S 2.05
S3 0.0120 0.6743 0.7581  2 S 2.05-2.06
S4 0.0120 0.8257 0.2581  2 S 2.05-2.06
S5 0.0449 0.5255 0.1949  2 S 2.03-2.06
S6 0.0449 0.9745 0.6949  2 S 2.03-2.06
S7 0.2069 0.5496 0.3229  1 S 2.03
S8 0.2069 0.9504 0.8229  1 S 2.03
S9 0.2188 0.0345 0.6384  2 S 2.06-2.07
S10 0.2188 0.4655 0.1384  2 S 2.06-2.07
S11 0.2473 0.6435 0.8658  2 S 2.04-2.06
S12 0.2473 0.8565 0.3658  2 S 2.04-2.06
S13 0.2693 0.1354 0.0977  1 S 2.05
S14 0.2693 0.3646 0.5977  1 S 2.05
S15 0.2777 0.0900 0.9792  2 S 2.05-2.06
S16 0.2777 0.4100 0.4792  2 S 2.05-2.06
S17 0.3124 0.6716 0.4900  1 S 2.05
S18 0.3124 0.8284 0.9900  1 S 2.05
S19 0.3215 0.5341 0.0594  2 S 2.06-2.07
S20 0.3215 0.9659 0.5594  2 S 2.06-2.07
S21 0.4061 0.1683 0.9233  2 S 2.05-2.06
S22 0.4061 0.3317 0.4233  2 S 2.05-2.06
S23 0.4362 0.6838 0.1770  1 S 2.03
S24 0.4362 0.8162 0.6770  1 S 2.03
S25 0.4522 0.0925 0.3564  2 S 2.03-2.06
S26 0.4522 0.4075 0.8564  2 S 2.03-2.06
S27 0.4794 0.6928 0.8400  1 S 2.04
S28 0.4794 0.8072 0.3400  1 S 2.04
S29 0.5206 0.1928 0.6600  1 S 2.04
S30 0.5206 0.3072 0.1600  1 S 2.04
S31 0.5478 0.5925 0.1436  2 S 2.03-2.06
S32 0.5478 0.9075 0.6436  2 S 2.03-2.06
S33 0.5638 0.1838 0.3230  1 S 2.03
S34 0.5638 0.3162 0.8230  1 S 2.03
S35 0.5939 0.6683 0.5767  2 S 2.05-2.06
S36 0.5939 0.8317 0.0767  2 S 2.05-2.06
S37 0.6785 0.0341 0.4406  2 S 2.06-2.07
S38 0.6785 0.4659 0.9406  2 S 2.06-2.07
S39 0.6876 0.1716 0.0100  1 S 2.05
S40 0.6876 0.3284 0.5100  1 S 2.05
S41 0.7223 0.5900 0.5208  2 S 2.05-2.06
S42 0.7223 0.9100 0.0208  2 S 2.05-2.06
S43 0.7307 0.6354 0.4023  1 S 2.05
S44 0.7307 0.8646 0.9023  1 S 2.05
S45 0.7527 0.1435 0.6342  2 S 2.04-2.06
S46 0.7527 0.3565 0.1342  2 S 2.04-2.06
S47 0.7812 0.5345 0.8616  2 S 2.06-2.07
S48 0.7812 0.9655 0.3616  2 S 2.06-2.07
S49 0.7931 0.0496 0.1771  1 S 2.03
S50 0.7931 0.4504 0.6771  1 S 2.03
S51 0.9551 0.0255 0.3051  2 S 2.03-2.06
S52 0.9551 0.4745 0.8051  2 S 2.03-2.06
S53 0.9880 0.1743 0.7419  2 S 2.05-2.06
S54 0.9880 0.3257 0.2419  2 S 2.05-2.06
S55 0.9979 0.7180 0.2730  1 S 2.05
S56 0.9979 0.7820 0.7730  1 S 2.05

Output
The total magnetization comes out at 0.000 μB per atom. Its crystal system is monoclinic. Its symmetry is P2_1/c.

---

Record 3
First-principles (r2SCAN) data for crystalline Cs3TaS4 at its relaxed geometry, as listed in the Materials Project database.

a = 10.0270 Å, b = 11.6871 Å, c = 10.0997 Å
α = 90.00°, β = 90.00°, γ = 90.00°
With the nearest neighbours (Å) after each atom.
Fractional coordinates of all 32 atoms:
Cs1 0.0500 0.0408 0.2100  7 S 3.51-3.82
Cs2 0.0500 0.4592 0.2100  7 S 3.51-3.82
Cs3 0.1461 0.7500 0.4186  5 S 3.50-3.73
Cs4 0.3540 0.2500 0.9186  5 S 3.50-3.73
Cs5 0.4500 0.5408 0.7100  7 S 3.51-3.82
Cs6 0.4500 0.9592 0.7100  7 S 3.51-3.82
Cs7 0.5500 0.0408 0.2900  7 S 3.51-3.82
Cs8 0.5500 0.4592 0.2900  7 S 3.51-3.82
Cs9 0.6460 0.7500 0.0814  5 S 3.50-3.73
Cs10 0.8540 0.2500 0.5814  5 S 3.50-3.73
Cs11 0.9500 0.5408 0.7900  7 S 3.51-3.82
Cs12 0.9500 0.9592 0.7900  7 S 3.51-3.82
Ta1 0.2213 0.7500 0.9852  4 S 2.28
Ta2 0.2787 0.2500 0.4852  4 S 2.28
Ta3 0.7213 0.7500 0.5148  4 S 2.28
Ta4 0.7787 0.2500 0.0148  4 S 2.28
S1 0.0119 0.7500 0.0739  1 Ta 2.28
S2 0.1678 0.0891 0.5485  1 Ta 2.28
S3 0.1678 0.4109 0.5485  1 Ta 2.28
S4 0.2045 0.7500 0.7604  1 Ta 2.28
S5 0.2955 0.2500 0.2604  1 Ta 2.28
S6 0.3322 0.5891 0.0485  1 Ta 2.28
S7 0.3322 0.9109 0.0485  1 Ta 2.28
S8 0.4881 0.2500 0.5739  1 Ta 2.28
S9 0.5119 0.7500 0.4261  1 Ta 2.28
S10 0.6678 0.0891 0.9515  1 Ta 2.28
S11 0.6678 0.4109 0.9515  1 Ta 2.28
S12 0.7045 0.7500 0.7396  1 Ta 2.28
S13 0.7955 0.2500 0.2396  1 Ta 2.28
S14 0.8322 0.5891 0.4515  1 Ta 2.28
S15 0.8322 0.9109 0.4515  1 Ta 2.28
S16 0.9881 0.2500 0.9261  1 Ta 2.28

Output
The total magnetization comes out at 0.000 μB per atom. Its crystal system is orthorhombic. Its symmetry is Pnma.

---

Ordered mass density results: 4720 2779 3973; unit kg/m³.
Ordered energy of formation results: -2101 -405 -1521; unit meV per atom.